[1]
This record from the Materials Project database describes SiC after structural relaxation. The functional is PBE.

Lattice parameters (Å, degrees): 3.096 3.096 20.248 90.00 90.00 120.00
Positions (direct):
Si  0.000  0.000  0.000
Si  0.667  0.333  0.750
C  0.333  0.667  0.344
Si  0.000  0.000  0.500
Si  0.333  0.667  0.625
C  0.333  0.667  0.969
Si  0.667  0.333  0.375
Si  0.333  0.667  0.875
Si  0.333  0.667  0.250
C  0.000  0.000  0.094
C  0.667  0.333  0.844
C  0.667  0.333  0.469
C  0.333  0.667  0.719
C  0.000  0.000  0.594
Si  0.667  0.333  0.125
C  0.667  0.333  0.219

Properties
Its crystal system is hexagonal. The calculation puts the energy relative to the lowest polymorph listed for this composition at 0.000 eV/atom. The maximum piezoelectric response comes out at 0.1 C/m².

---

[2]
This record from the Materials Project database describes ZrAs2 after structural relaxation. The functional is PBE.

Lattice parameters (Å, degrees): 3.727 6.862 9.144 90.00 90.00 90.00
Positions (direct):
As  0.250  0.380  0.042
Zr  0.250  0.773  0.162
Zr  0.750  0.227  0.838
As  0.750  0.620  0.958
As  0.750  0.120  0.542
Zr  0.250  0.273  0.338
As  0.250  0.880  0.458
Zr  0.750  0.727  0.662
As  0.750  0.583  0.353
As  0.750  0.083  0.147
As  0.250  0.917  0.853
As  0.250  0.417  0.647

Properties
Its crystal system is orthorhombic. As for the total energy: -20.4 eV per formula unit.

---

[3]
This record from the Materials Project database describes K3Nb2Se11 after structural relaxation. The functional is PBE.

Lattice parameters (Å, degrees): 9.296 8.122 26.450 80.18 90.00 90.00
Positions (direct):
Se  0.191  0.857  0.307
Se  0.877  0.833  0.485
K  0.201  0.753  0.184
Se  0.309  0.857  0.807
K  0.299  0.753  0.684
Se  0.466  0.435  0.622
Nb  0.173  0.214  0.079
K  0.767  0.742  0.672
Se  0.082  0.061  0.605
Nb  0.673  0.786  0.421
Se  0.846  0.480  0.409
Se  0.539  0.507  0.764
Se  0.823  0.762  0.821
K  0.233  0.258  0.328
Se  0.346  0.520  0.091
Se  0.177  0.238  0.179
K  0.262  0.799  0.485
Se  0.918  0.939  0.395
Se  0.533  0.977  0.776
Se  0.592  0.599  0.508
Se  0.809  0.143  0.693
Nb  0.958  0.673  0.331
K  0.738  0.201  0.515
K  0.762  0.201  0.015
Se  0.033  0.023  0.724
Se  0.011  0.981  0.087
Nb  0.827  0.786  0.921
Nb  0.042  0.327  0.669
Se  0.039  0.493  0.736
Nb  0.542  0.673  0.831
Se  0.603  0.484  0.092
K  0.733  0.742  0.172
Se  0.908  0.599  0.008
Se  0.123  0.167  0.515
Se  0.092  0.401  0.992
Se  0.467  0.023  0.224
Se  0.103  0.516  0.408
Se  0.489  0.981  0.587
Se  0.623  0.833  0.985
K  0.701  0.247  0.316
Nb  0.327  0.214  0.579
Se  0.461  0.493  0.236
Se  0.397  0.516  0.908
Se  0.408  0.401  0.492
Se  0.377  0.167  0.015
Se  0.534  0.565  0.378
Se  0.989  0.019  0.913
Se  0.691  0.143  0.193
Se  0.897  0.484  0.592
Se  0.582  0.939  0.895
K  0.267  0.258  0.828
Se  0.967  0.977  0.276
Se  0.961  0.507  0.264
Nb  0.458  0.327  0.169
Se  0.511  0.019  0.413
Se  0.677  0.762  0.321
Se  0.966  0.565  0.878
K  0.238  0.799  0.985
Se  0.418  0.061  0.105
Se  0.154  0.520  0.591
K  0.799  0.247  0.816
Se  0.323  0.238  0.679
Se  0.034  0.435  0.122
Se  0.654  0.480  0.909

Properties
Its crystal system is monoclinic. The value obtained for the total magnetic moment is 0.01 μB/f.u. As for the total energy: -74.0 eV per formula unit.

---

[4]
This record from the Materials Project database describes Cs3Tb7Te12 after structural relaxation. The functional is PBE.

Lattice parameters (Å, degrees): 4.464 13.822 28.462 90.00 90.00 90.00
Positions (direct):
Te  0.000  0.185  0.290
Tb  0.500  0.335  0.288
Tb  0.000  0.037  0.585
Tb  0.000  0.665  0.788
Te  0.500  0.815  0.790
Te  0.500  0.883  0.578
Te  0.500  0.618  0.422
Te  0.500  0.998  0.198
Cs  0.000  0.972  0.871
Tb  0.500  0.837  0.683
Tb  0.500  0.165  0.712
Te  0.000  0.002  0.698
Tb  0.500  0.250  0.500
Tb  0.500  0.665  0.317
Te  0.000  0.316  0.710
Te  0.500  0.317  0.178
Te  0.000  0.382  0.922
Cs  0.000  0.534  0.132
Tb  0.000  0.335  0.817
Te  0.000  0.812  0.104
Tb  0.500  0.537  0.914
Cs  0.500  0.466  0.632
Te  0.000  0.117  0.078
Te  0.500  0.184  0.821
Te  0.000  0.498  0.302
Te  0.000  0.683  0.678
Tb  0.000  0.463  0.414
Te  0.000  0.816  0.321
Cs  0.500  0.028  0.371
Te  0.000  0.689  0.896
Tb  0.000  0.163  0.183
Cs  0.500  0.310  0.029
Tb  0.000  0.750  0.000
Te  0.000  0.406  0.518
Te  0.500  0.684  0.210
Tb  0.500  0.963  0.085
Tb  0.000  0.835  0.212
Te  0.500  0.502  0.802
Te  0.500  0.903  0.982
Cs  0.000  0.690  0.529
Te  0.500  0.188  0.604
Te  0.500  0.311  0.396
Te  0.000  0.097  0.482
Te  0.500  0.594  0.018

Properties
Its crystal system is orthorhombic. As for the total energy: -103.9 eV per formula unit.

---

[5]
This record from the Materials Project database describes LaMgAl11O19 after structural relaxation. The functional is PBE.

Lattice parameters (Å, degrees): 5.644 5.644 22.284 90.00 90.00 120.00
Positions (direct):
O  0.157  0.313  0.449
Al  0.834  0.668  0.107
O  0.819  0.181  0.749
O  0.508  0.015  0.152
La  0.667  0.333  0.251
O  0.015  0.508  0.652
O  0.296  0.148  0.556
Al  0.168  0.336  0.892
O  0.819  0.638  0.749
Al  0.336  0.168  0.392
Al  0.832  0.168  0.392
Al  0.168  0.832  0.892
Mg  0.667  0.333  0.527
O  0.181  0.362  0.249
O  0.010  0.505  0.848
O  0.000  0.000  0.354
O  0.508  0.492  0.152
Mg  0.333  0.667  0.027
O  0.181  0.819  0.249
Al  0.668  0.834  0.607
O  0.148  0.296  0.056
O  0.843  0.157  0.949
O  0.704  0.852  0.056
O  0.505  0.010  0.348
O  0.667  0.333  0.056
La  0.333  0.667  0.751
Al  0.166  0.332  0.607
Al  0.667  0.333  0.810
Al  0.000  0.000  0.503
Al  0.832  0.664  0.392
Al  0.000  0.000  0.003
O  0.667  0.333  0.438
O  0.333  0.667  0.556
O  0.000  0.000  0.654
O  0.000  0.000  0.854
O  0.505  0.495  0.348
O  0.492  0.508  0.652
O  0.852  0.704  0.556
O  0.000  0.000  0.154
Al  0.834  0.166  0.107
O  0.990  0.495  0.348
Al  0.667  0.333  0.689
Al  0.332  0.166  0.107
Al  0.333  0.667  0.474
Al  0.333  0.667  0.310
O  0.157  0.843  0.449
O  0.495  0.990  0.848
O  0.333  0.667  0.938
O  0.687  0.843  0.449
O  0.495  0.505  0.848
O  0.985  0.492  0.152
O  0.492  0.985  0.652
Al  0.000  0.000  0.237
O  0.148  0.852  0.056
Al  0.667  0.333  0.974
O  0.852  0.148  0.556
O  0.638  0.819  0.249
Al  0.000  0.000  0.737
Al  0.664  0.832  0.892
O  0.362  0.181  0.749
Al  0.333  0.667  0.189
O  0.843  0.687  0.949
O  0.313  0.157  0.949
Al  0.166  0.834  0.607

Properties
Its crystal system is hexagonal. The value obtained for the total magnetic moment is 0.00 μB/f.u. As for the total energy: -239.7 eV per formula unit.

---

[6]
This record from the Materials Project database describes K4CO6 after structural relaxation. The functional is PBE.

Lattice parameters (Å, degrees): 5.371 5.801 7.397 91.16 93.46 109.97
Positions (direct):
K  0.035  0.072  0.481
O  0.798  0.655  0.234
C  0.720  0.415  0.248
K  0.068  0.057  0.005
O  0.426  0.833  0.648
O  0.481  0.293  0.291
K  0.326  0.685  0.285
O  0.129  0.378  0.758
O  0.884  0.301  0.217
O  0.644  0.936  0.759
K  0.651  0.450  0.769

Properties
Its crystal system is triclinic. The value obtained for the total magnetic moment is 2.00 μB/f.u. As for the total energy: -57.1 eV per formula unit.

---

| no. | V (Å³ per atom) |
| --- | --- |
| 1 | 10.50 |
| 2 | 19.49 |
| 3 | 30.75 |
| 4 | 39.91 |
| 5 | 9.60 |
| 6 | 19.63 |